Arrangement a

The following is a PBE-GGA calculation of crystalline Li2TiCuO4 at its relaxed geometry, from the Materials Project.

Lattice parameters (Å, degrees): 5.466 5.466 5.466 137.25 137.25 62.05
Sites, in units of the cell vectors:
O 0.747 0.747 0.000
O 0.536 0.036 0.500
O 0.253 0.253 0.000
O 0.964 0.464 0.500
Li 0.500 0.500 0.000
Li 0.250 0.750 0.500
Ti 0.750 0.250 0.500
Cu 0.000 0.000 0.000

Properties
The symmetry is I-4m2, No. 119. The value obtained for the magnetization is 0.05 μB per atom. The crystal system is tetragonal.

***

Arrangement b

The following is a PBE-GGA calculation of crystalline Li2TiCuO4 at its relaxed geometry, from the Materials Project.

Lattice parameters (Å, degrees): 6.168 6.168 6.168 124.67 124.04 82.62
Sites, in units of the cell vectors:
Li 0.000 0.500 0.500
Li 0.500 0.000 0.000
Li 0.500 0.500 0.000
Li 0.500 0.500 0.500
Cu 0.000 0.500 0.000
Cu 0.000 0.000 0.500
O 0.800 0.782 0.017
O 0.265 0.782 0.483
O 0.733 0.747 0.514
O 0.733 0.219 0.986
O 0.735 0.218 0.517
O 0.267 0.781 0.014
O 0.267 0.253 0.486
O 0.200 0.218 0.983
Ti 0.500 0.000 0.500
Ti 0.000 0.000 0.000

Properties
The symmetry is Imma, No. 74. The value obtained for the magnetization is 0.13 μB per atom. The crystal system is orthorhombic.

***

Arrangement c

The following is a PBE-GGA calculation of crystalline Li2TiCuO4 at its relaxed geometry, from the Materials Project.

Lattice parameters (Å, degrees): 2.997 5.066 5.103 72.71 90.00 90.00
Sites, in units of the cell vectors:
Li 0.500 0.500 0.000
Li 0.000 0.000 0.000
O 0.000 0.266 0.262
O 0.000 0.734 0.738
O 0.500 0.273 0.723
O 0.500 0.727 0.277
Ti 0.000 0.500 0.500
Cu 0.500 0.000 0.500

Properties
The symmetry is P2/m, No. 10. The value obtained for the magnetization is 0.12 μB per atom. The crystal system is monoclinic.

***

Which of them is most stable? Easy: arrangement b.